(1)
Crystalline Na2Mg3SnS6O24 at its relaxed geometry. Source: the Materials Project, functional GGA-PBE.

Unit cell a=8.6708 b=8.6708 c=22.7780 alpha=90.00 beta=90.00 gamma=120.00
Fractional coordinates of all 108 atoms:
Na  0.0000  0.0000  0.0000
Na  0.0000  0.0000  0.4803
Na  0.3333  0.6667  0.1617
Na  0.3333  0.6667  0.6492
Na  0.6667  0.3333  0.3312
Na  0.6667  0.3333  0.8301
Mg  0.0000  0.0000  0.1421
Mg  0.0000  0.0000  0.3427
Mg  0.0000  0.0000  0.6343
Mg  0.3333  0.6667  0.0102
Mg  0.3333  0.6667  0.3091
Mg  0.3333  0.6667  0.5004
Mg  0.3333  0.6667  0.8074
Mg  0.6667  0.3333  0.4670
Mg  0.6667  0.3333  0.9741
Sn  0.0000  0.0000  0.8420
Sn  0.6667  0.3333  0.1755
Sn  0.6667  0.3333  0.6688
S  0.9997  0.2952  0.7385
S  0.0029  0.7085  0.2395
S  0.0391  0.3708  0.4069
S  0.0396  0.6641  0.9061
S  0.2915  0.2944  0.2395
S  0.2955  0.0003  0.7385
S  0.3316  0.9609  0.4069
S  0.3359  0.3755  0.9061
S  0.3702  0.3360  0.5722
S  0.3705  0.0381  0.0720
S  0.6245  0.9604  0.9061
S  0.6292  0.6684  0.4069
S  0.6640  0.0342  0.5722
S  0.6675  0.6295  0.0720
S  0.7048  0.7045  0.7385
S  0.7056  0.9971  0.2395
S  0.9619  0.3325  0.0720
S  0.9658  0.6298  0.5722
O  0.0183  0.2042  0.6880
O  0.0187  0.8055  0.1849
O  0.0201  0.1916  0.4016
O  0.0229  0.8335  0.9023
O  0.1208  0.6483  0.8515
O  0.1230  0.4793  0.3542
O  0.1393  0.4924  0.0669
O  0.1430  0.6495  0.5674
O  0.1437  0.4511  0.4610
O  0.1471  0.6919  0.9584
O  0.1570  0.4715  0.7463
O  0.1573  0.6819  0.2446
O  0.1665  0.1893  0.9023
O  0.1715  0.9799  0.4016
O  0.1859  0.9817  0.6880
O  0.1945  0.2131  0.1849
O  0.1953  0.0239  0.0795
O  0.1974  0.1731  0.5806
O  0.2115  0.1859  0.2916
O  0.2232  0.0370  0.7946
O  0.3073  0.8563  0.4610
O  0.3081  0.4552  0.9584
O  0.3145  0.8430  0.7463
O  0.3181  0.4753  0.2446
O  0.3505  0.4935  0.5674
O  0.3517  0.4725  0.8515
O  0.3531  0.8607  0.0669
O  0.3563  0.8770  0.3542
O  0.4580  0.1504  0.0208
O  0.4666  0.3114  0.5247
O  0.4764  0.3736  0.6318
O  0.4775  0.3106  0.2358
O  0.4780  0.1650  0.7348
O  0.4819  0.1150  0.1272
O  0.4905  0.3490  0.9111
O  0.4930  0.1399  0.4123
O  0.5065  0.8570  0.5674
O  0.5076  0.6469  0.0669
O  0.5207  0.6437  0.3542
O  0.5247  0.8427  0.2446
O  0.5275  0.8792  0.8515
O  0.5285  0.6855  0.7463
O  0.5448  0.8529  0.9584
O  0.5489  0.6927  0.4610
O  0.6264  0.1028  0.6318
O  0.6331  0.5181  0.1272
O  0.6469  0.5070  0.4123
O  0.6510  0.1415  0.9111
O  0.6870  0.5220  0.7348
O  0.6886  0.1552  0.5247
O  0.6894  0.1669  0.2358
O  0.6924  0.5420  0.0208
O  0.7869  0.9813  0.1849
O  0.7958  0.8141  0.6880
O  0.8084  0.8285  0.4016
O  0.8107  0.9771  0.9023
O  0.8141  0.0256  0.2916
O  0.8138  0.7768  0.7946
O  0.8269  0.0243  0.5806
O  0.8286  0.8047  0.0795
O  0.8331  0.5225  0.2358
O  0.8350  0.3130  0.7348
O  0.8448  0.5334  0.5247
O  0.8496  0.3076  0.0208
O  0.8585  0.5095  0.9111
O  0.8601  0.3531  0.4123
O  0.8850  0.3669  0.1272
O  0.8972  0.5236  0.6318
O  0.9630  0.1862  0.7946
O  0.9744  0.7885  0.2916
O  0.9761  0.1714  0.0795
O  0.9757  0.8026  0.5806

E_tot: -6.065 eV/atom
Formation enthalpy at 0 K: -2.22 eV/atom
Space-group type: P3 (143)
Total energy after the MP2020 corrections: -704.53 eV for the cell shown

=====

(2)
Crystalline Na9Mg11TaS18O72 at its relaxed geometry. Source: the Materials Project, functional GGA-PBE.

Unit cell a=8.6897 b=8.7277 c=22.5821 alpha=90.11 beta=90.04 gamma=119.80
Fractional coordinates of all 111 atoms:
Na  0.0000  0.0000  0.0000
Na  0.0005  0.0002  0.4819
Na  0.3043  0.3343  0.9177
Na  0.3195  0.6534  0.3315
Na  0.3330  0.6792  0.8325
Na  0.6373  0.0003  0.2489
Na  0.6664  0.3335  0.6612
Na  0.6670  0.3333  0.1662
Na  0.6954  0.6672  0.0832
Mg  0.0035  0.0009  0.3475
Mg  0.0087  0.0074  0.1480
Mg  0.3219  0.6594  0.1814
Mg  0.3302  0.6743  0.9811
Mg  0.3324  0.6669  0.6807
Mg  0.3330  0.6670  0.4729
Mg  0.6670  0.3345  0.5068
Mg  0.6668  0.3412  0.3145
Mg  0.6683  0.3327  0.8132
Mg  0.6688  0.3259  0.0146
Mg  0.9927  0.9929  0.8499
Ta  0.9991  0.0001  0.6421
S  0.9999  0.2939  0.2469
S  0.0003  0.7084  0.7472
S  0.0377  0.6675  0.0794
S  0.0396  0.3798  0.5811
S  0.2921  0.2940  0.7479
S  0.2946  0.0009  0.2465
S  0.3310  0.3713  0.0778
S  0.3397  0.9600  0.5810
S  0.3705  0.3324  0.4136
S  0.3743  0.0395  0.9118
S  0.6193  0.6605  0.5810
S  0.6269  0.9616  0.0808
S  0.6663  0.6274  0.9135
S  0.6671  0.0385  0.4124
S  0.7058  0.7048  0.2449
S  0.7057  0.9990  0.7473
S  0.9600  0.6291  0.4135
S  0.9608  0.3347  0.9121
O  0.0131  0.8254  0.0848
O  0.0208  0.1917  0.5908
O  0.0239  0.2105  0.2998
O  0.0246  0.8175  0.7991
O  0.1200  0.6429  0.1323
O  0.1208  0.4798  0.6350
O  0.1388  0.6466  0.4192
O  0.1417  0.6916  0.0254
O  0.1434  0.4922  0.9175
O  0.1492  0.4482  0.5284
O  0.1575  0.4709  0.2402
O  0.1592  0.6931  0.7383
O  0.1700  0.9795  0.5907
O  0.1739  0.1948  0.0847
O  0.1862  0.2116  0.8010
O  0.1875  0.9762  0.2993
O  0.1921  0.1735  0.4079
O  0.1939  0.1754  0.6939
O  0.1955  0.0262  0.9061
O  0.2150  0.0255  0.1925
O  0.2987  0.8505  0.5282
O  0.3060  0.4665  0.7385
O  0.3072  0.4492  0.0221
O  0.3192  0.8427  0.2409
O  0.3526  0.4929  0.4193
O  0.3533  0.8618  0.9184
O  0.3583  0.8787  0.6349
O  0.3613  0.4881  0.1291
O  0.4502  0.3078  0.4683
O  0.4554  0.1528  0.9644
O  0.4658  0.3038  0.7487
O  0.4772  0.1586  0.2521
O  0.4794  0.1200  0.8577
O  0.4788  0.3567  0.3609
O  0.4878  0.1406  0.5752
O  0.4962  0.3582  0.0727
O  0.5021  0.6426  0.9183
O  0.5063  0.8616  0.4187
O  0.5193  0.6421  0.6349
O  0.5233  0.8811  0.1352
O  0.5271  0.6913  0.2395
O  0.5322  0.8410  0.7383
O  0.5435  0.8475  0.0282
O  0.5497  0.7007  0.5282
O  0.6362  0.5138  0.8608
O  0.6428  0.1190  0.3580
O  0.6456  0.1381  0.0737
O  0.6526  0.5124  0.5751
O  0.6860  0.5279  0.2517
O  0.6896  0.5469  0.9680
O  0.6912  0.1461  0.4660
O  0.6960  0.1623  0.7485
O  0.7915  0.9754  0.7991
O  0.7918  0.8213  0.2962
O  0.8060  0.9762  0.0854
O  0.8073  0.7826  0.1892
O  0.8078  0.8297  0.5905
O  0.8219  0.0192  0.6925
O  0.8238  0.8042  0.9068
O  0.8270  0.0193  0.4074
O  0.8356  0.3089  0.2525
O  0.8368  0.5360  0.7485
O  0.8541  0.3097  0.9651
O  0.8552  0.5094  0.0739
O  0.8560  0.5502  0.4682
O  0.8578  0.3467  0.5751
O  0.8765  0.5203  0.3608
O  0.8805  0.3588  0.8581
O  0.9679  0.1828  0.1933
O  0.9781  0.8069  0.4076
O  0.9796  0.8041  0.6925
O  0.9856  0.1764  0.9067

E_tot: -6.141 eV/atom
Formation enthalpy at 0 K: -2.33 eV/atom
Space-group type: P1 (1)
Total energy after the MP2020 corrections: -731.16 eV for the cell shown

=====

(3)
Crystalline NaMg3TaS6O24 at its relaxed geometry. Source: the Materials Project, functional GGA-PBE.

Unit cell a=8.7008 b=8.7008 c=22.5571 alpha=90.00 beta=90.00 gamma=120.00
Fractional coordinates of all 105 atoms:
Na  0.0000  0.0000  0.0000
Na  0.0000  0.0000  0.4898
Na  0.3333  0.6667  0.1671
Mg  0.0000  0.0000  0.1472
Mg  0.0000  0.0000  0.3546
Mg  0.0000  0.0000  0.6431
Mg  0.0000  0.0000  0.8497
Mg  0.3333  0.6667  0.0198
Mg  0.3333  0.6667  0.3203
Mg  0.3333  0.6667  0.5109
Mg  0.6667  0.3333  0.4678
Mg  0.6667  0.3333  0.9769
Ta  0.3333  0.6667  0.8114
Ta  0.6667  0.3333  0.1891
Ta  0.6667  0.3333  0.6791
S  0.0088  0.7169  0.2470
S  0.0420  0.3734  0.4149
S  0.0417  0.6683  0.9163
S  0.2831  0.2919  0.2470
S  0.2892  0.0023  0.7478
S  0.3314  0.9580  0.4149
S  0.3317  0.3733  0.9163
S  0.3708  0.3327  0.5773
S  0.3752  0.0438  0.0797
S  0.6266  0.6686  0.4149
S  0.6267  0.9583  0.9163
S  0.6673  0.0381  0.5773
S  0.6686  0.6248  0.0797
S  0.7081  0.9912  0.2470
S  0.7131  0.7108  0.7478
S  0.9562  0.3314  0.0797
S  0.9619  0.6292  0.5773
S  0.9977  0.2869  0.7478
O  0.0239  0.1949  0.4084
O  0.0275  0.8272  0.9057
O  0.0290  0.8166  0.1925
O  0.0347  0.2157  0.6950
O  0.1216  0.4800  0.3610
O  0.1314  0.4945  0.0767
O  0.1314  0.6370  0.5767
O  0.1370  0.6456  0.8603
O  0.1531  0.4526  0.4685
O  0.1565  0.6825  0.2526
O  0.1575  0.6986  0.9669
O  0.1581  0.4722  0.7583
O  0.1710  0.9761  0.4084
O  0.1728  0.2002  0.9057
O  0.1810  0.9653  0.6950
O  0.1834  0.2124  0.1925
O  0.1996  0.0261  0.0879
O  0.2009  0.1736  0.5903
O  0.2143  0.0320  0.8011
O  0.2154  0.1819  0.2991
O  0.2996  0.8469  0.4685
O  0.3014  0.4589  0.9669
O  0.3142  0.8419  0.7583
O  0.3175  0.4740  0.2526
O  0.3544  0.4913  0.8603
O  0.3583  0.8784  0.3610
O  0.3630  0.4944  0.5767
O  0.3631  0.8686  0.0767
O  0.4581  0.1520  0.0271
O  0.4605  0.3020  0.5289
O  0.4714  0.3107  0.2356
O  0.4723  0.1564  0.7389
O  0.4890  0.1322  0.4227
O  0.4904  0.1340  0.1342
O  0.4914  0.3547  0.6357
O  0.4930  0.3640  0.9192
O  0.5055  0.6369  0.0767
O  0.5056  0.8686  0.5767
O  0.5087  0.8630  0.8603
O  0.5200  0.6417  0.3610
O  0.5260  0.8435  0.2526
O  0.5278  0.6858  0.7583
O  0.5411  0.8425  0.9669
O  0.5474  0.7004  0.4685
O  0.6360  0.1290  0.9192
O  0.6432  0.5110  0.4227
O  0.6436  0.5096  0.1342
O  0.6453  0.1367  0.6357
O  0.6842  0.5277  0.7389
O  0.6893  0.1607  0.2356
O  0.6940  0.5419  0.0271
O  0.6980  0.1585  0.5289
O  0.7843  0.8190  0.6950
O  0.7876  0.9710  0.1925
O  0.7998  0.9725  0.9057
O  0.8051  0.8290  0.4084
O  0.8181  0.0335  0.2991
O  0.8177  0.7857  0.8011
O  0.8264  0.0273  0.5903
O  0.8265  0.8004  0.0879
O  0.8393  0.5286  0.2356
O  0.8415  0.5395  0.5289
O  0.8436  0.3158  0.7389
O  0.8480  0.3060  0.0271
O  0.8633  0.5086  0.6357
O  0.8660  0.3564  0.1342
O  0.8678  0.3568  0.4227
O  0.8710  0.5070  0.9192
O  0.9665  0.7846  0.2991
O  0.9680  0.1823  0.8011
O  0.9727  0.7991  0.5903
O  0.9739  0.1735  0.0879

E_tot: -6.455 eV/atom
Formation enthalpy at 0 K: -2.31 eV/atom
Space-group type: P3 (143)
Total energy after the MP2020 corrections: -727.28 eV for the cell shown